Compound: MoS2
Source: the Materials Project database
Functional: meta-GGA r2SCAN
Structure: optimized geometry

The structure belongs to space group R3m (No. 160, hexagonal axes); the cell edges are 3.1843, 3.1843 and 19.4463 Å and the angles 90.00°, 90.00° and 120.00°. The asymmetric unit holds Mo at (0.0000, 0.0000, 0.0000), S at (0.0000, 0.0000, 0.2535) and S at (0.0000, 0.0000, 0.4132).

The value obtained for the formation enthalpy at 0 K is -0.966 eV per atom. The total energy comes out at -135.1 eV for the cell shown.